A relaxed structure of LuAl10Re2, computed with r2SCAN.

Formation energy = -0.3978 eV per atom
SG = Cmcm

Cell: 6.8927 6.8927 26.6922 Å, 90.00 90.00 96.11°
Closest atoms and distances in Å follow each position.
Atoms (fractional coordinates):
Al: 0.2050 0.2050 0.5000  2 Re 2.60, 6 Al 2.62-2.82
Al: 0.8754 0.1246 0.3543  6 Al 2.66-2.94, 2 Re 2.71
Al: 0.0932 0.9068 0.1995  6 Al 2.66-2.86, 2 Re 2.68
Al: 0.1232 0.3800 0.0831  2 Re 2.53-2.54, 7 Al 2.62-2.81
Al: 0.4736 0.9677 0.1712  2 Re 2.59, 6 Al 2.63-2.87
Al: 0.9677 0.4736 0.8288  2 Re 2.59, 6 Al 2.63-2.87
Al: 0.1775 0.3999 0.7500  2 Re 2.59, 6 Al 2.63-2.89
Al: 0.9068 0.0932 0.8005  6 Al 2.66-2.86, 2 Re 2.68
Al: 0.5264 0.0323 0.8288  2 Re 2.59, 6 Al 2.63-2.87
Al: 0.1246 0.8754 0.8543  6 Al 2.66-2.94, 2 Re 2.71
Al: 0.1653 0.8347 0.5341  2 Re 2.62, 7 Al 2.64-2.87
Al: 0.7950 0.7950 0.5000  2 Re 2.60, 6 Al 2.62-2.82
Al: 0.0323 0.5264 0.3288  2 Re 2.59, 6 Al 2.63-2.87
Re: 0.5000 0.0000 0.5000  10 Al 2.54-2.71
Al: 0.3700 0.6300 0.6784  6 Al 2.62-2.87, 2 Re 2.66
Al: 0.9068 0.0932 0.6995  6 Al 2.66-2.86, 2 Re 2.68
Al: 0.5292 0.7722 0.9192  2 Re 2.66-2.69, 6 Al 2.72-2.95
Al: 0.8754 0.1246 0.1457  6 Al 2.66-2.94, 2 Re 2.71
Re: 0.2489 0.2553 0.8369  10 Al 2.53-2.77
Re: 0.7511 0.7447 0.1631  10 Al 2.53-2.77
Lu: 0.3827 0.6173 0.2500  14 Al 3.05-3.26
Al: 0.2278 0.4708 0.5808  2 Re 2.66-2.69, 6 Al 2.72-2.95
Re: 0.2553 0.2489 0.1631  10 Al 2.53-2.77
Re: 0.2553 0.2489 0.3369  10 Al 2.53-2.77
Al: 0.3800 0.1232 0.5831  2 Re 2.53-2.54, 7 Al 2.62-2.81
Al: 0.4031 0.5969 0.1336  5 Al 2.62-2.74, 2 Re 2.63
Al: 0.3774 0.6226 0.4778  4 Al 2.64-2.81, 2 Re 2.71
Al: 0.6200 0.8768 0.0831  2 Re 2.53-2.54, 7 Al 2.62-2.81
Al: 0.7722 0.5292 0.4192  2 Re 2.66-2.69, 6 Al 2.72-2.95
Al: 0.5292 0.7722 0.5808  2 Re 2.66-2.69, 6 Al 2.72-2.95
Al: 0.1232 0.3800 0.4169  2 Re 2.53-2.54, 7 Al 2.62-2.81
Al: 0.8768 0.6200 0.5831  2 Re 2.53-2.54, 7 Al 2.62-2.81
Al: 0.6300 0.3700 0.1784  6 Al 2.62-2.87, 2 Re 2.66
Re: 0.0000 0.5000 0.5000  10 Al 2.54-2.71
Al: 0.8768 0.6200 0.9169  2 Re 2.53-2.54, 7 Al 2.62-2.81
Al: 0.0365 0.2620 0.2500  7 Al 2.63-2.89, 2 Re 2.77
Al: 0.9635 0.7380 0.7500  7 Al 2.63-2.89, 2 Re 2.77
Al: 0.0323 0.5264 0.1712  2 Re 2.59, 6 Al 2.63-2.87
Al: 0.4736 0.9677 0.3288  2 Re 2.59, 6 Al 2.63-2.87
Al: 0.7722 0.5292 0.0808  2 Re 2.66-2.69, 6 Al 2.72-2.95
Al: 0.7380 0.9635 0.2500  7 Al 2.63-2.89, 2 Re 2.77
Lu: 0.1247 0.8753 0.0846  12 Al 3.03-3.35, 2 Re 3.37
Re: 0.7447 0.7511 0.6631  10 Al 2.53-2.77
Al: 0.2620 0.0365 0.7500  7 Al 2.63-2.89, 2 Re 2.77
Lu: 0.8753 0.1247 0.9154  12 Al 3.03-3.35, 2 Re 3.37
Al: 0.4708 0.2278 0.0808  2 Re 2.66-2.69, 6 Al 2.72-2.95
Al: 0.7950 0.7950 0.0000  2 Re 2.60, 6 Al 2.62-2.82
Al: 0.8347 0.1653 0.4659  2 Re 2.62, 7 Al 2.64-2.87
Re: 0.7447 0.7511 0.8369  10 Al 2.53-2.77
Al: 0.8225 0.6001 0.2500  2 Re 2.59, 6 Al 2.63-2.89
Al: 0.3700 0.6300 0.8216  6 Al 2.62-2.87, 2 Re 2.66
Re: 0.7511 0.7447 0.3369  10 Al 2.53-2.77
Al: 0.5969 0.4031 0.8664  5 Al 2.62-2.74, 2 Re 2.63
Al: 0.3999 0.1775 0.2500  2 Re 2.59, 6 Al 2.63-2.89
Al: 0.6200 0.8768 0.4169  2 Re 2.53-2.54, 7 Al 2.62-2.81
Al: 0.5264 0.0323 0.6712  2 Re 2.59, 6 Al 2.63-2.87
Lu: 0.1247 0.8753 0.4154  12 Al 3.03-3.35, 2 Re 3.37
Al: 0.5969 0.4031 0.6336  5 Al 2.62-2.74, 2 Re 2.63
Al: 0.9677 0.4736 0.6712  2 Re 2.59, 6 Al 2.63-2.87
Re: 0.2489 0.2553 0.6631  10 Al 2.53-2.77
Al: 0.1653 0.8347 0.9659  2 Re 2.62, 7 Al 2.64-2.87
Al: 0.2050 0.2050 0.0000  2 Re 2.60, 6 Al 2.62-2.82
Al: 0.3800 0.1232 0.9169  2 Re 2.53-2.54, 7 Al 2.62-2.81
Al: 0.4708 0.2278 0.4192  2 Re 2.66-2.69, 6 Al 2.72-2.95
Al: 0.1246 0.8754 0.6457  6 Al 2.66-2.94, 2 Re 2.71
Al: 0.3774 0.6226 0.0222  4 Al 2.64-2.81, 2 Re 2.71
Al: 0.6226 0.3774 0.9778  4 Al 2.64-2.81, 2 Re 2.71
Al: 0.8347 0.1653 0.0341  2 Re 2.62, 7 Al 2.64-2.87
Al: 0.6001 0.8225 0.7500  2 Re 2.59, 6 Al 2.63-2.89
Al: 0.2278 0.4708 0.9192  2 Re 2.66-2.69, 6 Al 2.72-2.95
Al: 0.4031 0.5969 0.3664  5 Al 2.62-2.74, 2 Re 2.63
Lu: 0.6173 0.3827 0.7500  14 Al 3.05-3.26
Al: 0.6226 0.3774 0.5222  4 Al 2.64-2.81, 2 Re 2.71
Re: 0.5000 0.0000 0.0000  10 Al 2.54-2.71
Re: 0.0000 0.5000 0.0000  10 Al 2.54-2.71
Al: 0.6300 0.3700 0.3216  6 Al 2.62-2.87, 2 Re 2.66
Lu: 0.8753 0.1247 0.5846  12 Al 3.03-3.35, 2 Re 3.37
Al: 0.0932 0.9068 0.3005  6 Al 2.66-2.86, 2 Re 2.68

A relaxed structure of Lu2AlRu, computed with r2SCAN.

Formation energy = -0.4916 eV per atom
SG = Fm-3m

Cell: 4.8204 4.8204 4.8204 Å, 60.00 60.00 60.00°
Closest atoms and distances in Å follow each position.
Atoms (fractional coordinates):
Al: 0.2500 0.2500 0.2500  8 Lu 2.95
Lu: 0.0000 0.0000 0.0000  4 Ru 2.95, 4 Al 2.95
Lu: 0.5000 0.5000 0.5000  4 Ru 2.95, 4 Al 2.95
Ru: 0.7500 0.7500 0.7500  8 Lu 2.95

A relaxed structure of YbLuAl4, computed with r2SCAN.

Formation energy = -0.5586 eV per atom
SG = F-43m

Cell: 5.4604 5.4604 5.4604 Å, 60.00 60.00 60.00°
Closest atoms and distances in Å follow each position.
Atoms (fractional coordinates):
Lu: 0.2500 0.2500 0.2500  12 Al 3.20, 4 Yb 3.34
Yb: 0.0000 0.0000 0.0000  12 Al 3.20, 4 Lu 3.34
Al: 0.1251 0.6250 0.6250  6 Al 2.73
Al: 0.6250 0.6250 0.6250  6 Al 2.73
Al: 0.6250 0.6250 0.1251  6 Al 2.73
Al: 0.6250 0.1251 0.6250  6 Al 2.73